(one)
Below is a relaxed LiFePO5 crystal, with properties calculated at the GGA+U level.

Cell lengths 7.2656, 7.9862, 7.0498 Å; angles 90.00, 118.20, 90.00 degrees
Last column: nearest neighbours and their distance in Å.
Element x y z (fractional)
Li 0.2478 0.0624 0.2794  4 O 1.93-2.08
Li 0.2478 0.4376 0.7794  4 O 1.93-2.08
Li 0.7522 0.5624 0.2206  4 O 1.93-2.08
Li 0.7522 0.9376 0.7206  4 O 1.93-2.08
Fe 0.2501 0.7465 0.4999  5 O 1.85-2.03
Fe 0.2501 0.7535 0.9999  5 O 1.85-2.03
Fe 0.7499 0.2465 0.0001  5 O 1.85-2.03
Fe 0.7499 0.2535 0.5001  5 O 1.85-2.03
P 0.2496 0.1083 0.7485  4 O 1.55-1.56
P 0.2496 0.3917 0.2485  4 O 1.55-1.56
P 0.7504 0.6083 0.7515  4 O 1.55-1.56
P 0.7504 0.8917 0.2515  4 O 1.55-1.56
O 0.0649 0.2359 0.6522  1 P 1.56
O 0.0649 0.2641 0.1522  1 P 1.56
O 0.2367 0.5007 0.4230  1 P 1.55
O 0.2367 0.9993 0.9230  1 P 1.55
O 0.2505 0.6777 0.7513  2 Fe 1.85-1.86, 1 Li 1.93
O 0.2505 0.8223 0.2513  2 Fe 1.85-1.86, 1 Li 1.93
O 0.2604 0.0004 0.5715  1 P 1.55
O 0.2604 0.4996 0.0715  1 P 1.55
O 0.4350 0.2350 0.8478  1 P 1.56
O 0.4350 0.2650 0.3478  1 P 1.56
O 0.5650 0.7350 0.6522  1 P 1.56
O 0.5650 0.7650 0.1522  1 P 1.56
O 0.7396 0.9996 0.4285  1 P 1.55
O 0.7396 0.5004 0.9285  1 P 1.55
O 0.7495 0.1777 0.7487  2 Fe 1.85-1.86, 1 Li 1.93
O 0.7495 0.3223 0.2487  2 Fe 1.85-1.86, 1 Li 1.93
O 0.7633 0.0007 0.0770  1 P 1.55
O 0.7633 0.4993 0.5770  1 P 1.55
O 0.9351 0.7359 0.8478  1 P 1.56
O 0.9351 0.7641 0.3478  1 P 1.56

Calculated values
* calculated volume: 11.27 Å³ per atom
* space group: P2_1/c, No. 14

***

(two)
Below is a relaxed LiFePO5 crystal, with properties calculated at the GGA+U level.

Cell lengths 7.1653, 7.1653, 10.7095 Å; angles 109.97, 109.97, 43.58 degrees
Last column: nearest neighbours and their distance in Å.
Element x y z (fractional)
Li 0.0000 0.5000 0.0000  6 O 2.03-2.15
Li 0.0102 0.9898 0.7500  6 O 2.06-2.25
Li 0.5000 0.0000 0.5000  6 O 2.03-2.15
Li 0.9898 0.0102 0.2500  6 O 2.06-2.25
Fe 0.0000 0.0000 0.0000  6 O 1.91-2.01
Fe 0.0000 0.0000 0.5000  6 O 1.91-2.01
Fe 0.0000 0.5000 0.5000  6 O 1.91-2.12
Fe 0.5000 0.0000 0.0000  6 O 1.91-2.12
P 0.3706 0.3813 0.3160  4 O 1.54-1.56
P 0.3813 0.3706 0.8160  4 O 1.54-1.56
P 0.6187 0.6294 0.1840  4 O 1.54-1.56
P 0.6294 0.6187 0.6840  4 O 1.54-1.56
O 0.0920 0.1627 0.4582  2 Fe 1.91
O 0.1627 0.0920 0.9582  2 Fe 1.91
O 0.1975 0.6832 0.8533  1 P 1.54
O 0.2088 0.6910 0.3526  1 P 1.55
O 0.2881 0.3102 0.3963  1 P 1.56
O 0.3090 0.7912 0.1474  1 P 1.55
O 0.3102 0.2881 0.8963  1 P 1.56
O 0.3103 0.3176 0.1634  1 P 1.54
O 0.3168 0.8025 0.6467  1 P 1.54
O 0.3176 0.3103 0.6634  1 P 1.54
O 0.6824 0.6897 0.3366  1 P 1.54
O 0.6832 0.1975 0.3533  1 P 1.54
O 0.6897 0.6824 0.8366  1 P 1.54
O 0.6898 0.7119 0.1037  1 P 1.56
O 0.6910 0.2088 0.8526  1 P 1.55
O 0.7119 0.6898 0.6037  1 P 1.56
O 0.7912 0.3090 0.6474  1 P 1.55
O 0.8025 0.3168 0.1467  1 P 1.54
O 0.8373 0.9080 0.0418  2 Fe 1.91
O 0.9080 0.8373 0.5418  2 Fe 1.91

Calculated values
* calculated volume: 11.02 Å³ per atom
* space group: C2/c, No. 15

***

It is (one) that is the most stable of them.

***

(one)
Below is a relaxed MgW2O4 crystal, with properties calculated at the GGA+U level.

Cell lengths 6.3381, 6.4989, 15.3762 Å; angles 92.07, 90.19, 119.14 degrees
Last column: nearest neighbours and their distance in Å.
Element x y z (fractional)
Mg 0.0000 0.0000 0.0000  6 O 2.13-2.24
Mg 0.0047 0.0026 0.3824  4 O 2.06-2.09
Mg 0.0106 0.0141 0.6262  4 O 2.06-2.09
Mg 0.3373 0.6719 0.9596  4 O 2.06-2.08
Mg 0.6655 0.3277 0.2965  4 O 2.04-2.10
Mg 0.6753 0.3441 0.6685  6 O 2.10-2.22
W 0.0066 0.5090 0.5078  6 O 2.18-2.23
W 0.1588 0.3222 0.1693  6 O 2.19-2.22
W 0.1596 0.8233 0.1706  6 O 2.15-2.22
W 0.3349 0.6631 0.3388  6 O 2.19-2.23
W 0.3397 0.1738 0.8389  6 O 2.16-2.22
W 0.3455 0.6856 0.7192  4 O 2.11-2.13
W 0.5108 0.5087 0.5079  6 O 2.18-2.23
W 0.5122 0.0162 0.5060  6 O 2.17-2.22
W 0.6594 0.3350 0.0493  4 O 2.11-2.13
W 0.6618 0.8248 0.1696  6 O 2.16-2.22
W 0.8428 0.1735 0.8391  6 O 2.16-2.21
W 0.8435 0.6793 0.8365  6 O 2.17-2.21
O 0.0008 0.0039 0.2468  1 Mg 2.09, 3 W 2.20-2.21
O 0.0043 0.0003 0.7616  1 Mg 2.09, 3 W 2.18-2.20
O 0.0128 0.5063 0.2496  1 Mg 2.07, 3 W 2.19-2.22
O 0.1622 0.3136 0.9250  2 Mg 2.08-2.16, 2 W 2.18
O 0.1730 0.8577 0.9168  2 Mg 2.06-2.15, 2 W 2.18-2.20
O 0.1758 0.8225 0.4253  1 Mg 2.07, 3 W 2.19-2.23
O 0.1833 0.3584 0.4220  1 Mg 2.08, 3 W 2.20-2.22
O 0.3054 0.1299 0.0936  3 W 2.11-2.19, 1 Mg 2.20
O 0.3217 0.6465 0.0937  1 Mg 2.07, 3 W 2.19-2.22
O 0.3553 0.7006 0.5812  4 W 2.13-2.22
O 0.3618 0.1953 0.5855  2 Mg 2.06-2.13, 2 W 2.18-2.19
O 0.4854 0.9708 0.2546  1 Mg 2.10, 3 W 2.19-2.22
O 0.4951 0.5048 0.2479  1 Mg 2.08, 3 W 2.20-2.23
O 0.5020 0.4806 0.7606  3 W 2.12-2.21, 1 Mg 2.21
O 0.5302 0.0516 0.7479  1 Mg 2.10, 3 W 2.11-2.22
O 0.6551 0.8226 0.4255  1 Mg 2.06, 3 W 2.19-2.23
O 0.6708 0.3341 0.4290  1 Mg 2.04, 3 W 2.19-2.20
O 0.6884 0.3658 0.9127  4 W 2.12-2.22
O 0.6891 0.8553 0.9162  2 Mg 2.08-2.13, 2 W 2.18-2.20
O 0.8188 0.1340 0.0930  3 W 2.13-2.20, 1 Mg 2.24
O 0.8332 0.6568 0.5924  2 Mg 2.07-2.17, 2 W 2.18
O 0.8416 0.1967 0.5860  2 Mg 2.06-2.13, 2 W 2.18
O 0.8495 0.7007 0.0788  3 W 2.11-2.21, 1 Mg 2.13
O 0.9877 0.4810 0.7616  3 W 2.11-2.21, 1 Mg 2.22

Calculated values
* calculated volume: 13.16 Å³ per atom
* space group: P1, No. 1

***

(two)
Below is a relaxed MgW2O4 crystal, with properties calculated at the GGA+U level.

Cell lengths 6.4566, 6.4566, 15.5303 Å; angles 91.11, 91.11, 59.11 degrees
Last column: nearest neighbours and their distance in Å.
Element x y z (fractional)
Mg 0.0000 0.0000 0.0000  4 O 2.07
Mg 0.9998 0.9998 0.2505  4 O 2.06-2.07
Mg 0.0014 0.0014 0.6202  6 O 2.10-2.23
Mg 0.3333 0.3333 0.3356  4 O 2.06-2.08
Mg 0.3355 0.3355 0.5795  4 O 2.05-2.09
Mg 0.6650 0.6650 0.9168  4 O 2.04-2.09
W 0.0005 0.4993 0.1253  6 O 2.20-2.22
W 0.1635 0.1635 0.7891  6 O 2.19-2.21
W 0.1627 0.6656 0.7898  6 O 2.14-2.22
W 0.3315 0.3315 0.9574  6 O 2.20-2.22
W 0.3331 0.8364 0.4612  6 O 2.19-2.22
W 0.4993 0.0005 0.1253  6 O 2.20-2.22
W 0.4998 0.4998 0.1250  6 O 2.20-2.21
W 0.6656 0.1627 0.7898  6 O 2.14-2.22
W 0.6662 0.6662 0.2929  6 O 2.20-2.22
W 0.6708 0.6708 0.6703  4 O 2.11
W 0.8364 0.3331 0.4612  6 O 2.19-2.22
W 0.8382 0.8382 0.4595  6 O 2.17-2.22
O 0.0004 0.0004 0.3828  1 Mg 2.06, 3 W 2.20
O 0.0010 0.0010 0.8667  1 Mg 2.07, 3 W 2.20-2.21
O 0.0129 0.4932 0.8696  1 Mg 2.07, 3 W 2.20-2.22
O 0.1576 0.1576 0.5445  2 Mg 2.06-2.13, 2 W 2.19
O 0.1636 0.6878 0.5401  2 Mg 2.05-2.13, 2 W 2.18-2.19
O 0.1698 0.6497 0.0439  1 Mg 2.07, 3 W 2.20-2.22
O 0.1761 0.1761 0.0414  1 Mg 2.07, 3 W 2.20
O 0.3116 0.8288 0.7129  3 W 2.11-2.19, 1 Mg 2.23
O 0.3280 0.3280 0.7141  1 Mg 2.09, 3 W 2.20-2.21
O 0.3365 0.3365 0.2018  1 Mg 2.08, 3 W 2.20-2.21
O 0.3490 0.8297 0.2049  1 Mg 2.07, 3 W 2.20-2.21
O 0.4877 0.4877 0.8731  1 Mg 2.09, 3 W 2.21
O 0.4932 0.0129 0.8696  1 Mg 2.07, 3 W 2.20-2.22
O 0.5052 0.9831 0.3792  1 Mg 2.06, 3 W 2.20-2.22
O 0.5107 0.5107 0.3773  1 Mg 2.08, 3 W 2.21-2.22
O 0.6497 0.1698 0.0439  1 Mg 2.07, 3 W 2.20-2.22
O 0.6636 0.6636 0.0482  1 Mg 2.04, 3 W 2.21
O 0.6777 0.6777 0.5344  4 W 2.11-2.21
O 0.6878 0.1636 0.5401  2 Mg 2.05-2.13, 2 W 2.18-2.19
O 0.8232 0.8232 0.2085  1 Mg 2.07, 3 W 2.20-2.22
O 0.8288 0.3116 0.7129  3 W 2.11-2.19, 1 Mg 2.23
O 0.8297 0.3490 0.2049  1 Mg 2.07, 3 W 2.20-2.21
O 0.8546 0.8546 0.7013  1 Mg 2.10, 3 W 2.11-2.19
O 0.9831 0.5052 0.3792  1 Mg 2.06, 3 W 2.20-2.22

Calculated values
* calculated volume: 13.23 Å³ per atom
* space group: Cm, No. 8

***

It is (two) that is the most stable of them.